<one>
First-principles (meta-GGA r2SCAN) data for Li9Mn2Co5O16 after structural relaxation, as listed in the Materials Project database. Values from VASP.

Quantum ESPRESSO input file:
```
&SYSTEM
  ibrav = 0, nat = 32, ntyp = 4
/
ATOMIC_SPECIES
Li 6.94 Li.upf
Mn 54.94 Mn.upf
Co 58.93 Co.upf
O 16.00 O.upf
CELL_PARAMETERS angstrom
5.675 0.171 -0.015
-0.169 5.618 0.043
-0.145 -0.066 8.007
ATOMIC_POSITIONS angstrom
Li 2.837 0.085 -0.007
Li 1.150 4.159 6.134
Li 4.127 4.283 1.924
Li 2.753 2.894 0.014
Li -0.157 2.776 4.025
Li 4.210 1.563 1.901
Li 1.233 1.440 6.112
Li -0.073 -0.033 4.003
Li -0.085 2.809 0.022
Mn 0.000 0.000 0.000
Mn 2.680 2.861 4.018
Co 4.034 4.286 6.041
Co 1.327 1.437 1.995
Co 4.118 1.491 6.019
Co 2.765 0.053 3.996
Co 1.243 4.232 2.016
O 1.309 1.374 0.097
O 5.463 0.118 6.071
O 2.512 5.682 2.140
O 1.221 4.324 0.120
O 3.933 4.298 4.089
O 2.609 2.874 2.108
O 5.353 2.927 5.985
O 4.017 1.502 4.067
O 4.052 4.349 7.938
O 2.752 2.849 5.928
O 0.007 2.796 2.050
O 4.140 1.399 7.915
O 1.427 1.425 3.947
O -0.102 5.605 1.964
O 2.848 0.041 5.895
O 1.343 4.221 3.968
```

Output
Volume = 255.5 Å³ per cell

***

<two>
First-principles (meta-GGA r2SCAN) data for Li9Mn2Co5O16 after structural relaxation, as listed in the Materials Project database. Values from VASP.

Quantum ESPRESSO input file:
```
&SYSTEM
  ibrav = 0, nat = 32, ntyp = 4
/
ATOMIC_SPECIES
Li 6.94 Li.upf
Mn 54.94 Mn.upf
Co 58.93 Co.upf
O 16.00 O.upf
CELL_PARAMETERS angstrom
-3.400 2.000 -4.012
-0.819 2.353 5.827
7.046 4.711 0.312
ATOMIC_POSITIONS angstrom
Li -1.352 4.423 1.415
Li 2.596 2.861 -0.882
Li 0.309 3.498 3.432
Li 0.982 3.797 -2.768
Li 2.500 5.585 -1.276
Li 4.204 4.610 0.684
Li -1.262 1.750 1.873
Li -2.873 2.667 -0.093
Li -0.128 2.801 -0.482
Mn -0.015 0.034 -0.020
Mn 1.573 1.790 1.559
Co -0.277 5.514 -0.938
Co 2.968 6.289 2.600
Co -1.700 1.011 -2.003
Co 1.407 4.524 1.050
Co 1.265 7.291 0.590
O 1.273 1.349 -0.315
O 1.154 4.276 -0.813
O -0.501 2.437 -2.421
O 2.797 3.180 1.189
O 4.338 4.973 2.751
O 2.644 5.973 0.742
O 4.191 7.735 2.258
O 5.901 6.745 4.280
O 0.204 3.089 1.477
O 0.057 5.862 0.903
O -1.593 4.143 -0.634
O 1.747 4.871 2.929
O 3.303 6.626 4.454
O 1.598 7.633 2.462
O -3.099 2.341 -2.145
O 5.612 5.939 0.193
```

Output
Volume = 255.5 Å³ per cell

***

Most stable = <two>

***

<one>
First-principles (meta-GGA r2SCAN) data for Li9Mn2Co5O16 after structural relaxation, as listed in the Materials Project database. Values from VASP.

Quantum ESPRESSO input file:
```
&SYSTEM
  ibrav = 0, nat = 32, ntyp = 4
/
ATOMIC_SPECIES
Li 6.94 Li.upf
Mn 54.94 Mn.upf
Co 58.93 Co.upf
O 16.00 O.upf
CELL_PARAMETERS angstrom
-2.968 2.219 -4.246
-0.303 3.067 5.555
7.827 3.224 -0.044
ATOMIC_POSITIONS angstrom
Li -0.414 4.743 0.900
Li 3.078 2.185 -1.073
Li 1.064 3.671 3.042
Li 1.659 3.245 -3.111
Li 3.493 4.826 -1.777
Li 4.987 3.710 0.337
Li -0.845 2.156 1.640
Li -2.275 3.216 -0.412
Li 0.445 2.755 -0.743
Mn 0.019 0.035 -0.014
Mn -1.451 1.134 -2.117
Co 0.786 5.345 -1.484
Co 4.148 5.817 2.011
Co 1.872 1.582 1.388
Co 2.261 4.242 0.626
Co 2.666 6.927 -0.114
O 1.497 1.014 -0.440
O 1.954 3.864 -1.215
O -0.048 2.170 -2.650
O 3.347 2.685 0.935
O 5.252 4.292 2.309
O 3.771 5.400 0.189
O 5.645 6.952 1.558
O 7.140 5.861 3.683
O 0.813 3.137 1.165
O 1.207 5.816 0.326
O -0.747 4.303 -1.066
O 2.683 4.719 2.461
O 4.553 6.280 3.837
O 3.072 7.388 1.718
O -2.606 2.643 -2.408
O 6.650 4.691 -0.326
```

Output
Volume = 256.1 Å³ per cell

***

<two>
First-principles (meta-GGA r2SCAN) data for Li9Mn2Co5O16 after structural relaxation, as listed in the Materials Project database. Values from VASP.

Quantum ESPRESSO input file:
```
&SYSTEM
  ibrav = 0, nat = 32, ntyp = 4
/
ATOMIC_SPECIES
Li 6.94 Li.upf
Mn 54.94 Mn.upf
Co 58.93 Co.upf
O 16.00 O.upf
CELL_PARAMETERS angstrom
4.871 -0.023 -0.042
-1.609 5.456 0.040
-1.538 -0.381 9.674
ATOMIC_POSITIONS angstrom
Li 4.050 1.261 2.477
Li 0.096 4.536 6.025
Li 4.073 -0.166 4.872
Li 0.026 3.020 8.340
Li -2.310 3.748 7.186
Li 1.637 2.022 1.255
Li -2.312 2.340 9.640
Li 1.656 0.524 3.700
Li 3.311 1.085 7.134
Mn 3.329 -0.402 9.625
Mn 0.888 0.369 8.385
Co 0.853 3.258 3.641
Co 0.835 4.714 1.235
Co -1.572 2.530 4.874
Co -1.591 3.996 2.465
Co 0.874 1.792 6.044
O 3.284 0.877 0.516
O -0.764 4.144 4.159
O 1.663 4.856 2.933
O -0.705 2.759 6.543
O 1.684 3.391 5.354
O -0.686 1.194 9.113
O 1.603 1.957 7.834
O 0.830 0.150 1.734
O 0.046 1.662 4.316
O 0.853 4.832 8.030
O 0.160 0.135 6.732
O 2.450 3.832 0.684
O -1.563 4.175 9.162
O 2.469 2.382 3.071
O 0.025 3.131 1.901
O 2.455 0.906 5.407
```

Output
Volume = 256.5 Å³ per cell

***

Most stable = <two>

***

<one>
First-principles (meta-GGA r2SCAN) data for Mn after structural relaxation, as listed in the Materials Project database. Values from VASP.

Quantum ESPRESSO input file:
```
&SYSTEM
  ibrav = 0, nat = 29, ntyp = 1
/
ATOMIC_SPECIES
Mn 54.94 Mn.upf
CELL_PARAMETERS angstrom
-4.554 4.554 4.554
4.554 -4.554 4.554
4.554 4.554 -4.554
ATOMIC_POSITIONS angstrom
Mn 0.000 0.000 0.000
Mn 2.935 2.935 2.935
Mn 1.619 1.619 -1.619
Mn -1.619 1.619 1.619
Mn 1.619 -1.619 1.619
Mn 3.274 0.392 3.274
Mn 1.279 4.162 -1.279
Mn -1.279 4.162 1.279
Mn 1.279 -1.279 4.162
Mn 1.279 1.279 4.945
Mn 4.945 1.279 1.279
Mn 4.162 -1.279 1.279
Mn 4.162 1.279 -1.279
Mn -1.279 1.279 4.162
Mn 3.274 3.274 0.392
Mn 0.392 3.274 3.274
Mn 1.279 4.945 1.279
Mn 0.849 2.590 0.849
Mn -0.849 6.517 0.849
Mn 0.849 6.517 -0.849
Mn -0.849 0.849 6.517
Mn 3.705 3.705 -1.963
Mn -1.963 3.705 3.705
Mn 6.517 0.849 -0.849
Mn 6.517 -0.849 0.849
Mn 0.849 -0.849 6.517
Mn 0.849 0.849 2.590
Mn 2.590 0.849 0.849
Mn 3.705 -1.963 3.705
```

Output
Volume = 377.7 Å³ per cell

***

<two>
First-principles (meta-GGA r2SCAN) data for Mn after structural relaxation, as listed in the Materials Project database. Values from VASP.

Quantum ESPRESSO input file:
```
&SYSTEM
  ibrav = 0, nat = 1, ntyp = 1
/
ATOMIC_SPECIES
Mn 54.94 Mn.upf
CELL_PARAMETERS angstrom
2.062 0.755 -1.002
0.155 -2.360 0.479
-1.827 0.393 -1.527
ATOMIC_POSITIONS angstrom
Mn 0.000 0.000 0.000
```

Output
Volume = 10.8 Å³ per cell

***

Most stable = <one>

***

<one>
First-principles (meta-GGA r2SCAN) data for Tb3Nd after structural relaxation, as listed in the Materials Project database. Values from VASP.

Quantum ESPRESSO input file:
```
&SYSTEM
  ibrav = 0, nat = 4, ntyp = 2
/
ATOMIC_SPECIES
Tb 158.93 Tb.upf
Nd 144.24 Nd.upf
CELL_PARAMETERS angstrom
-2.544 2.544 5.079
2.544 -2.544 5.079
2.544 2.544 -5.079
ATOMIC_POSITIONS angstrom
Tb 0.000 2.544 2.540
Tb 2.544 0.000 2.540
Tb 0.000 0.000 5.079
Nd 0.000 0.000 0.000
```

Output
Volume = 131.5 Å³ per cell

***

<two>
First-principles (meta-GGA r2SCAN) data for Tb3Nd after structural relaxation, as listed in the Materials Project database. Values from VASP.

Quantum ESPRESSO input file:
```
&SYSTEM
  ibrav = 0, nat = 8, ntyp = 2
/
ATOMIC_SPECIES
Tb 158.93 Tb.upf
Nd 144.24 Nd.upf
CELL_PARAMETERS angstrom
-3.337 6.237 1.908
1.088 -5.249 4.994
5.180 2.358 1.350
ATOMIC_POSITIONS angstrom
Tb -0.035 0.389 5.790
Tb 1.104 -0.111 2.294
Tb 1.276 6.116 3.429
Tb 2.966 2.957 2.462
Tb 1.827 3.458 5.958
Tb 1.655 -2.770 4.824
Nd -0.567 2.998 3.274
Nd 3.498 0.348 4.978
```

Output
Volume = 271.9 Å³ per cell

***

Most stable = <two>